83
Lattice="8.5126 0.0000 0.0000 0.0000 8.5126 0.0000 0.0000 0.0000 18.1349" Properties=species:S:1:pos:R:3 comment="Cu10Bi25O48 (PBE-GGA, relaxed)" space_group="No. 75" formation_energy_mev_per_atom=-1454.8 crystal_system=tetragonal pbc="T T T"
Cu 0.0000 0.0000 0.0000
Cu 0.0000 0.0000 2.9774
Cu 0.0000 0.0000 5.9522
Cu 0.0000 0.0000 8.9634
Cu 0.0000 0.0000 12.0478
Cu 0.0000 0.0000 15.0728
Cu 4.2563 4.2563 0.8724
Cu 4.2563 4.2563 3.9037
Cu 4.2563 4.2563 6.9694
Cu 4.2563 4.2563 12.6477
Bi 1.3403 5.7967 13.9143
Bi 1.4274 5.6741 8.0207
Bi 1.4433 2.7677 17.0943
Bi 1.4479 2.7878 4.9915
Bi 1.4603 5.7153 1.9725
Bi 1.5565 2.8488 10.9096
Bi 2.7159 1.3403 13.9143
Bi 2.7677 7.0692 17.0943
Bi 2.7878 7.0647 4.9915
Bi 2.7972 1.4603 1.9725
Bi 2.8384 1.4274 8.0207
Bi 2.8488 6.9560 10.9096
Bi 4.2563 4.2563 15.3342
Bi 5.6637 1.5565 10.9096
Bi 5.6741 7.0852 8.0207
Bi 5.7153 7.0523 1.9725
Bi 5.7247 1.4479 4.9915
Bi 5.7449 1.4433 17.0943
Bi 5.7967 7.1722 13.9143
Bi 6.9560 5.6637 10.9096
Bi 7.0523 2.7972 1.9725
Bi 7.0647 5.7247 4.9915
Bi 7.0692 5.7449 17.0943
Bi 7.0852 2.8384 8.0207
Bi 7.1722 2.7159 13.9143
O 0.8291 6.7779 5.8810
O 0.8304 1.7259 8.8902
O 0.8354 1.7587 14.9496
O 0.8325 6.7603 18.0478
O 0.8411 6.8001 11.9963
O 0.8471 1.7602 2.9066
O 1.7125 0.8411 11.9963
O 1.7259 7.6822 8.8902
O 1.7346 0.8291 5.8810
O 1.7523 0.8325 18.0478
O 1.7602 7.6655 2.9066
O 1.7587 7.6772 14.9496
O 2.2423 5.1224 10.0322
O 2.3742 5.1369 16.1546
O 2.4983 3.3883 0.9504
O 2.5129 5.1302 3.9783
O 2.5210 3.3597 12.9707
O 2.5159 3.3824 7.0250
O 3.3597 5.9916 12.9707
O 3.3757 2.3742 16.1546
O 3.3823 2.5129 3.9783
O 3.3824 5.9966 7.0250
O 3.3901 2.2423 10.0322
O 3.3883 6.0143 0.9504
O 5.1243 2.4983 0.9504
O 5.1224 6.2703 10.0322
O 5.1301 2.5159 7.0250
O 5.1302 5.9997 3.9783
O 5.1369 6.1384 16.1546
O 5.1528 2.5210 12.9707
O 5.9966 5.1301 7.0250
O 5.9916 5.1528 12.9707
O 5.9997 3.3823 3.9783
O 6.0143 5.1243 0.9504
O 6.1384 3.3757 16.1546
O 6.2703 3.3901 10.0322
O 6.7539 0.8354 14.9496
O 6.7524 0.8471 2.9066
O 6.7603 7.6801 18.0478
O 6.7779 7.6834 5.8810
O 6.7866 0.8304 8.8902
O 6.8001 7.6714 11.9963
O 7.6655 6.7524 2.9066
O 7.6714 1.7125 11.9963
O 7.6801 1.7523 18.0478
O 7.6772 6.7539 14.9496
O 7.6822 6.7866 8.8902
O 7.6834 1.7346 5.8810